Na6La5Nb3P12O48: relaxed, PBE.

abc: 9.2919 16.1081 23.8611
angles: 90.07 90.07 90.06
Sites, in units of the cell vectors:
Na  0.0000  0.0000  0.0000
Na  0.0004  0.6677  0.8328
Na  0.0115  0.6670  0.3325
Na  0.0158  0.3336  0.6652
Na  0.3120  0.3192  0.2474
Na  0.3687  0.9989  0.2475
Na  0.4895  0.1672  0.8334
Na  0.4930  0.8281  0.6652
Na  0.4946  0.8271  0.1590
Na  0.5016  0.5007  0.0005
Na  0.5040  0.4984  0.4995
Na  0.5115  0.1675  0.3331
Na  0.6357  0.9965  0.7504
Na  0.6912  0.3215  0.7495
Na  0.8119  0.8191  0.2471
Na  0.8687  0.4988  0.2478
Na  0.9943  0.3273  0.1597
Na  0.9988  0.0020  0.5005
La  0.9997  0.6676  0.9794
La  0.0050  0.0027  0.6439
La  0.0095  0.3353  0.8152
La  0.0139  0.6677  0.1748
La  0.4855  0.1677  0.6786
La  0.4954  0.8290  0.3188
La  0.4979  0.5033  0.1415
La  0.4977  0.8266  0.8139
La  0.5000  0.1670  0.4796
La  0.5011  0.1669  0.9784
La  0.5008  0.5007  0.6427
La  0.5136  0.1674  0.1749
La  0.9959  0.3286  0.3190
La  0.9982  0.0032  0.1416
La  0.9987  0.6674  0.4777
Nb  0.9999  0.0024  0.3547
Nb  0.0028  0.3346  0.0107
Nb  0.0032  0.6667  0.6820
Nb  0.0047  0.9981  0.8524
Nb  0.4993  0.5020  0.3539
Nb  0.4996  0.5041  0.8520
Nb  0.5019  0.8352  0.0107
Nb  0.5026  0.8308  0.5152
Nb  0.9988  0.3371  0.5130
P  0.1312  0.5162  0.5811
P  0.1348  0.1803  0.9141
P  0.1377  0.8590  0.2531
P  0.1513  0.1428  0.2531
P  0.1641  0.4789  0.9145
P  0.1637  0.8077  0.5815
P  0.1870  0.1758  0.5751
P  0.2048  0.8428  0.9145
P  0.2124  0.5022  0.2539
P  0.2923  0.0036  0.7531
P  0.2979  0.3433  0.4136
P  0.3144  0.6763  0.0751
P  0.3329  0.3186  0.0784
P  0.3394  0.6414  0.7477
P  0.3404  0.9762  0.4145
P  0.3580  0.0070  0.0783
P  0.3657  0.6795  0.4166
P  0.3665  0.3567  0.7523
P  0.6362  0.6815  0.9147
P  0.6380  0.3587  0.2528
P  0.6453  0.0076  0.5784
P  0.6517  0.6429  0.2530
P  0.6619  0.9765  0.9111
P  0.6669  0.3194  0.5783
P  0.7049  0.3436  0.9114
P  0.7096  0.6773  0.5816
P  0.7130  0.0023  0.2541
P  0.7913  0.5096  0.7487
P  0.7959  0.8433  0.4139
P  0.8142  0.1762  0.0752
P  0.8321  0.8190  0.0787
P  0.8387  0.4780  0.4125
P  0.8503  0.1425  0.7529
P  0.8577  0.5066  0.0783
P  0.8650  0.1808  0.4166
P  0.8679  0.8509  0.7481
O  0.0535  0.4291  0.5737
O  0.0555  0.7751  0.2546
O  0.0560  0.0927  0.9071
O  0.0655  0.5682  0.6340
O  0.0681  0.2318  0.9647
O  0.0804  0.9126  0.3054
O  0.0806  0.1034  0.5780
O  0.0942  0.0885  0.3053
O  0.0965  0.1036  0.1996
O  0.0969  0.2589  0.5629
O  0.0984  0.7722  0.9221
O  0.0991  0.2334  0.2551
O  0.0995  0.7714  0.5295
O  0.1018  0.4439  0.8613
O  0.1072  0.5664  0.5291
O  0.1070  0.9060  0.1995
O  0.1107  0.5669  0.9226
O  0.1112  0.8957  0.5912
O  0.1117  0.2287  0.8610
O  0.1138  0.9263  0.9085
O  0.1163  0.4238  0.2576
O  0.1163  0.5806  0.2548
O  0.1195  0.7484  0.6342
O  0.1224  0.4189  0.9648
O  0.1651  0.3241  0.0644
O  0.1671  0.6463  0.7381
O  0.1693  0.9806  0.4090
O  0.1807  0.0029  0.8047
O  0.1840  0.3522  0.4631
O  0.1961  0.9898  0.0803
O  0.2049  0.3426  0.7549
O  0.2068  0.6623  0.4238
O  0.2076  0.9973  0.6992
O  0.2112  0.6633  0.0274
O  0.2209  0.3316  0.3579
O  0.2327  0.6925  0.1313
O  0.2686  0.1927  0.6308
O  0.2881  0.1632  0.5267
O  0.2888  0.8310  0.8614
O  0.2904  0.4997  0.5897
O  0.2944  0.1636  0.9220
O  0.2998  0.4921  0.2008
O  0.3022  0.8516  0.2565
O  0.3152  0.8511  0.9651
O  0.3191  0.1420  0.2556
O  0.3221  0.5049  0.3060
O  0.3350  0.4824  0.9072
O  0.3346  0.8116  0.5733
O  0.3489  0.2721  0.1358
O  0.3794  0.5874  0.8015
O  0.3829  0.0848  0.7562
O  0.3845  0.7262  0.3624
O  0.3845  0.9143  0.4641
O  0.3882  0.4081  0.0802
O  0.3890  0.4268  0.4089
O  0.3905  0.7308  0.7537
O  0.3940  0.0662  0.0315
O  0.3957  0.0639  0.4228
O  0.3971  0.9445  0.3588
O  0.3981  0.9301  0.7554
O  0.4007  0.4004  0.6980
O  0.4016  0.2717  0.4218
O  0.4025  0.6039  0.6958
O  0.4037  0.2710  0.0315
O  0.4064  0.7573  0.0636
O  0.4196  0.6036  0.0786
O  0.4213  0.0382  0.1356
O  0.4248  0.4140  0.8032
O  0.4340  0.7311  0.4670
O  0.4345  0.9208  0.0644
O  0.4475  0.5937  0.4104
O  0.4540  0.2743  0.7562
O  0.5530  0.5954  0.9069
O  0.5554  0.2750  0.2545
O  0.5651  0.9206  0.5631
O  0.5682  0.7321  0.9648
O  0.5804  0.0378  0.6349
O  0.5805  0.4125  0.3051
O  0.5944  0.5885  0.3052
O  0.5970  0.6036  0.1996
O  0.5983  0.2723  0.5306
O  0.5994  0.2730  0.9210
O  0.5993  0.7334  0.2551
O  0.6029  0.6075  0.5903
O  0.6035  0.9424  0.8565
O  0.6072  0.4061  0.1994
O  0.6076  0.0642  0.9207
O  0.6099  0.0649  0.5305
O  0.6127  0.4091  0.5786
O  0.6141  0.4280  0.9046
O  0.6164  0.0806  0.2548
O  0.6170  0.7290  0.8611
O  0.6166  0.9239  0.2577
O  0.6175  0.7602  0.5725
O  0.6176  0.9166  0.9616
O  0.6528  0.2730  0.6351
O  0.6649  0.8247  0.0645
O  0.6683  0.4810  0.4084
O  0.6807  0.8482  0.4636
O  0.6824  0.1414  0.7552
O  0.6848  0.5202  0.8013
O  0.6956  0.4898  0.0803
O  0.7031  0.4929  0.6968
O  0.7049  0.8396  0.7552
O  0.7062  0.1627  0.4239
O  0.7111  0.1633  0.0273
O  0.7195  0.8318  0.3582
O  0.7326  0.1925  0.1313
O  0.7831  0.3314  0.8563
O  0.7945  0.6621  0.9226
O  0.7943  0.6640  0.5290
O  0.8000  0.9921  0.2009
O  0.8024  0.3514  0.2564
O  0.8062  0.9884  0.5799
O  0.8179  0.3518  0.9613
O  0.8195  0.6421  0.2556
O  0.8194  0.6853  0.6338
O  0.8225  0.0050  0.3062
O  0.8330  0.9794  0.9056
O  0.8355  0.3252  0.5631
O  0.8487  0.7722  0.1360
O  0.8834  0.2262  0.3619
O  0.8852  0.4180  0.4623
O  0.8862  0.9270  0.4097
O  0.8871  0.5902  0.7391
O  0.8877  0.4333  0.7569
O  0.8881  0.9084  0.0804
O  0.8888  0.9043  0.6967
O  0.8934  0.5657  0.0314
O  0.8935  0.5656  0.4212
O  0.8960  0.4457  0.3572
O  0.9004  0.7723  0.4220
O  0.9021  0.2331  0.7558
O  0.9032  0.7716  0.0318
O  0.9046  0.1045  0.6990
O  0.9056  0.2575  0.0634
O  0.9066  0.0844  0.8036
O  0.9197  0.1037  0.0786
O  0.9211  0.5378  0.1356
O  0.9332  0.2344  0.4657
O  0.9331  0.4201  0.0641
O  0.9330  0.8977  0.8016
O  0.9424  0.7628  0.7384
O  0.9470  0.0945  0.4103

raw total energy = -7.477 eV per atom
energy of formation from the pure elements = -2985.4 meV per atom